DFT (PBE) results for a relaxed structure of MgHg5.

CIF file:
```
data_MgHg5
_chemical_formula_sum 'Mg3 Hg15'
_symmetry_space_group_name_H-M 'R 3 2'
_symmetry_Int_Tables_number 155
_symmetry_space_group_name_Hall 'R 3 2"'
_cell_length_a 5.6090
_cell_length_b 5.6090
_cell_length_c 16.7420
_cell_angle_alpha 90.00
_cell_angle_beta 90.00
_cell_angle_gamma 120.00
loop_
_atom_site_label
_atom_site_type_symbol
_atom_site_fract_x
_atom_site_fract_y
_atom_site_fract_z
Mg1 Mg 0.0000 0.0000 0.0000
Hg1 Hg 0.0000 0.0000 0.3381
Hg2 Hg 0.0000 0.6577 0.5000
```

electronic total energy = -3.3 eV/f.u.
energy of formation = -0.68 kcal/mol of atoms
total magnetic moment = 0.0 μB per cell

***

DFT (PBE) results for a relaxed structure of Fe3S.

CIF file:
```
data_Fe3S
_chemical_formula_sum 'Fe12 S4'
_symmetry_space_group_name_H-M 'P n m a'
_symmetry_Int_Tables_number 62
_cell_length_a 4.9659
_cell_length_b 7.0169
_cell_length_c 5.3364
_cell_angle_alpha 90.00
_cell_angle_beta 90.00
_cell_angle_gamma 90.00
loop_
_symmetry_equiv_pos_as_xyz
'x,y,z'
'-x,-y,-z'
'-x+1/2,-y,z+1/2'
'x+1/2,y,-z+1/2'
'x+1/2,-y+1/2,-z+1/2'
'-x+1/2,y+1/2,z+1/2'
'-x,y+1/2,-z'
'x,-y+1/2,z'
loop_
_atom_site_label
_atom_site_type_symbol
_atom_site_fract_x
_atom_site_fract_y
_atom_site_fract_z
Fe1 Fe 0.0308 0.2500 0.2060
Fe2 Fe 0.2332 0.0521 0.5968
S1 S 0.1541 0.7500 0.4174
```

electronic total energy = -29.9 eV/f.u.
energy of formation = -4.97 kcal/mol of atoms
total magnetic moment = 25.8 μB per cell

***

DFT (PBE) results for a relaxed structure of Lu3TlC.

CIF file:
```
data_Lu3TlC
_chemical_formula_sum 'Lu3 Tl1 C1'
_symmetry_space_group_name_H-M 'P m -3 m'
_symmetry_Int_Tables_number 221
_symmetry_space_group_name_Hall '-P 4 2 3'
_cell_length_a 4.7849
_cell_length_b 4.7849
_cell_length_c 4.7849
_cell_angle_alpha 90.00
_cell_angle_beta 90.00
_cell_angle_gamma 90.00
loop_
_atom_site_label
_atom_site_type_symbol
_atom_site_fract_x
_atom_site_fract_y
_atom_site_fract_z
Lu1 Lu 0.0000 0.0000 0.5000
Tl1 Tl 0.5000 0.5000 0.5000
C1 C 0.0000 0.0000 0.0000
```

electronic total energy = -27.8 eV/f.u.
energy of formation = -12.16 kcal/mol of atoms

***

DFT (PBE) results for a relaxed structure of MgV2Au2S4.

CIF file:
```
data_MgV2Au2S4
_chemical_formula_sum 'Mg1 V2 Au2 S4'
_symmetry_space_group_name_H-M 'P 3 m 1'
_symmetry_Int_Tables_number 156
_cell_length_a 3.2431
_cell_length_b 3.2431
_cell_length_c 16.9358
_cell_angle_alpha 90.00
_cell_angle_beta 90.00
_cell_angle_gamma 120.00
loop_
_symmetry_equiv_pos_as_xyz
'x,y,z'
'-y,x-y,z'
'-x+y,-x,z'
'-y,-x,z'
'-x+y,y,z'
'x,x-y,z'
loop_
_atom_site_label
_atom_site_type_symbol
_atom_site_fract_x
_atom_site_fract_y
_atom_site_fract_z
Mg1 Mg 0.0000 0.0000 0.0000
V1 V 0.0000 0.0000 0.7928
V2 V 0.3333 0.6667 0.3460
Au1 Au 0.6667 0.3333 0.1132
Au2 Au 0.6667 0.3333 0.5688
S1 S 0.6667 0.3333 0.2614
S2 S 0.6667 0.3333 0.4297
S3 S 0.6667 0.3333 0.7085
S4 S 0.6667 0.3333 0.8800
```

electronic total energy = -49.4 eV/f.u.
energy of formation = -21.84 kcal/mol of atoms
relative energy among the computed polymorphs = 0.0000 eV per atom
total magnetic moment = 0.0 μB per cell

***

DFT (PBE) results for a relaxed structure of LaSnPt.

CIF file:
```
data_LaSnPt
_chemical_formula_sum 'La3 Sn3 Pt3'
_symmetry_space_group_name_H-M 'P -6 2 m'
_symmetry_Int_Tables_number 189
_symmetry_space_group_name_Hall 'P -6 -2'
_cell_length_a 7.7325
_cell_length_b 7.7325
_cell_length_c 4.2119
_cell_angle_alpha 90.00
_cell_angle_beta 90.00
_cell_angle_gamma 120.00
loop_
_atom_site_label
_atom_site_type_symbol
_atom_site_fract_x
_atom_site_fract_y
_atom_site_fract_z
La1 La 0.0000 0.5867 0.0000
Sn1 Sn 0.0000 0.2490 0.5000
Pt1 Pt 0.0000 0.0000 0.0000
Pt2 Pt 0.3333 0.6667 0.5000
```

electronic total energy = -18.3 eV/f.u.
energy of formation = -24.87 kcal/mol of atoms

***

DFT (PBE) results for a relaxed structure of La20Os12C13.

CIF file:
```
data_La20Os12C13
_chemical_formula_sum 'La20 Os12 C13'
_symmetry_space_group_name_H-M 'P 1 2/m 1'
_symmetry_Int_Tables_number 10
_cell_length_a 6.8059
_cell_length_b 15.9683
_cell_length_c 9.1809
_cell_angle_alpha 90.00
_cell_angle_beta 90.07
_cell_angle_gamma 90.00
loop_
_symmetry_equiv_pos_as_xyz
'x,y,z'
'-x,-y,-z'
'-x,y,-z'
'x,-y,z'
loop_
_atom_site_label
_atom_site_type_symbol
_atom_site_fract_x
_atom_site_fract_y
_atom_site_fract_z
La1 La 0.0000 0.1659 0.0000
La2 La 0.0000 0.3327 0.5000
La3 La 0.2495 0.3742 0.1252
La4 La 0.2491 0.5000 0.7477
La5 La 0.2649 0.1190 0.6195
La6 La 0.2659 0.0000 0.2608
La7 La 0.5000 0.1664 0.0000
La8 La 0.5000 0.3335 0.5000
Os1 Os 0.2490 0.0000 0.9040
Os2 Os 0.2494 0.2027 0.2980
Os3 Os 0.2496 0.2996 0.7996
Os4 Os 0.2496 0.5000 0.4015
C1 C 0.0000 0.0000 0.0000
C2 C 0.0000 0.5000 0.5000
C3 C 0.0007 0.2503 0.7509
C4 C 0.4983 0.2501 0.7500
C5 C 0.5000 0.0000 0.0000
C6 C 0.5000 0.0000 0.5000
C7 C 0.5000 0.5000 0.5000
```

electronic total energy = -363.3 eV/f.u.
energy of formation = -5.08 kcal/mol of atoms
total magnetic moment = 2.9 μB per cell

***

DFT (PBE) results for a relaxed structure of TaTeCl9.

CIF file:
```
data_TaTeCl9
_chemical_formula_sum 'Ta2 Te2 Cl18'
_symmetry_space_group_name_H-M 'P -1'
_symmetry_Int_Tables_number 2
_cell_length_a 6.6738
_cell_length_b 9.6950
_cell_length_c 11.7686
_cell_angle_alpha 106.23
_cell_angle_beta 105.76
_cell_angle_gamma 91.01
loop_
_symmetry_equiv_pos_as_xyz
'x,y,z'
'-x,-y,-z'
loop_
_atom_site_label
_atom_site_type_symbol
_atom_site_fract_x
_atom_site_fract_y
_atom_site_fract_z
Ta1 Ta 0.1382 0.2651 0.2102
Te1 Te 0.2964 0.3368 0.6653
Cl1 Cl 0.9998 0.0547 0.2260
Cl2 Cl 0.0329 0.7942 0.4340
Cl3 Cl 0.0892 0.6011 0.6708
Cl4 Cl 0.1127 0.7433 0.9704
Cl5 Cl 0.2774 0.3655 0.8654
Cl6 Cl 0.2777 0.5032 0.2119
Cl7 Cl 0.3781 0.1556 0.1165
Cl8 Cl 0.3929 0.3074 0.4128
Cl9 Cl 0.4741 0.1284 0.6595
```

electronic total energy = -42.6 eV/f.u.
energy of formation = -34.67 kcal/mol of atoms
relative energy among the computed polymorphs = 0.0088 eV per atom

***

DFT (PBE) results for a relaxed structure of LiRu2O4.

CIF file:
```
data_LiRu2O4
_chemical_formula_sum 'Li4 Ru8 O16'
_symmetry_space_group_name_H-M 'P n m a'
_symmetry_Int_Tables_number 62
_cell_length_a 9.3690
_cell_length_b 2.7725
_cell_length_c 11.0951
_cell_angle_alpha 90.00
_cell_angle_beta 90.00
_cell_angle_gamma 90.00
loop_
_symmetry_equiv_pos_as_xyz
'x,y,z'
'-x,-y,-z'
'-x+1/2,-y,z+1/2'
'x+1/2,y,-z+1/2'
'x+1/2,-y+1/2,-z+1/2'
'-x+1/2,y+1/2,z+1/2'
'-x,y+1/2,-z'
'x,-y+1/2,z'
loop_
_atom_site_label
_atom_site_type_symbol
_atom_site_fract_x
_atom_site_fract_y
_atom_site_fract_z
Li1 Li 0.2445 0.2500 0.1327
Ru1 Ru 0.0566 0.2500 0.3798
Ru2 Ru 0.0908 0.2500 0.8957
O1 O 0.0364 0.7500 0.7775
O2 O 0.0947 0.2500 0.5621
O3 O 0.1149 0.7500 0.0354
O4 O 0.2044 0.7500 0.3319
```

electronic total energy = -48.1 eV/f.u.
energy of formation = -34.86 kcal/mol of atoms
total magnetic moment = 0.0 μB per cell

***

DFT (PBE) results for a relaxed structure of CsEuCl3.

CIF file:
```
data_CsEuCl3
_chemical_formula_sum 'Cs4 Eu4 Cl12'
_symmetry_space_group_name_H-M 'P n m a'
_symmetry_Int_Tables_number 62
_cell_length_a 8.1937
_cell_length_b 11.1912
_cell_length_c 7.8813
_cell_angle_alpha 90.00
_cell_angle_beta 90.00
_cell_angle_gamma 90.00
loop_
_symmetry_equiv_pos_as_xyz
'x,y,z'
'-x,-y,-z'
'-x+1/2,-y,z+1/2'
'x+1/2,y,-z+1/2'
'x+1/2,-y+1/2,-z+1/2'
'-x+1/2,y+1/2,z+1/2'
'-x,y+1/2,-z'
'x,-y+1/2,z'
loop_
_atom_site_label
_atom_site_type_symbol
_atom_site_fract_x
_atom_site_fract_y
_atom_site_fract_z
Cs1 Cs 0.0581 0.2500 0.0175
Eu1 Eu 0.0000 0.0000 0.5000
Cl1 Cl 0.0201 0.7500 0.4194
Cl2 Cl 0.2080 0.5412 0.7948
```

electronic total energy = -27.9 eV/f.u.
energy of formation = -60.21 kcal/mol of atoms

***

DFT (PBE) results for a relaxed structure of Ag8S.

CIF file:
```
data_Ag8S
_chemical_formula_sum 'Ag32 S4'
_symmetry_space_group_name_H-M 'F -4 3 m'
_symmetry_Int_Tables_number 216
_symmetry_space_group_name_Hall 'F -4 2 3'
_cell_length_a 9.1271
_cell_length_b 9.1271
_cell_length_c 9.1271
_cell_angle_alpha 90.00
_cell_angle_beta 90.00
_cell_angle_gamma 90.00
loop_
_atom_site_label
_atom_site_type_symbol
_atom_site_fract_x
_atom_site_fract_y
_atom_site_fract_z
Ag1 Ag 0.1044 0.1044 0.1044
Ag2 Ag 0.1242 0.1242 0.6242
S1 S 0.2500 0.2500 0.2500
```

electronic total energy = -24.6 eV/f.u.
energy of formation = 4.45 kcal/mol of atoms
total magnetic moment = 0.0 μB per cell

***

DFT (PBE) results for a relaxed structure of DyHo3.

CIF file:
```
data_DyHo3
_chemical_formula_sum 'Dy2 Ho6'
_symmetry_space_group_name_H-M 'I 4/m m m'
_symmetry_Int_Tables_number 139
_symmetry_space_group_name_Hall '-I 4 2'
_cell_length_a 4.9862
_cell_length_b 4.9862
_cell_length_c 9.9783
_cell_angle_alpha 90.00
_cell_angle_beta 90.00
_cell_angle_gamma 90.00
loop_
_atom_site_label
_atom_site_type_symbol
_atom_site_fract_x
_atom_site_fract_y
_atom_site_fract_z
Dy1 Dy 0.0000 0.0000 0.0000
Ho1 Ho 0.0000 0.0000 0.5000
Ho2 Ho 0.0000 0.5000 0.2500
```

electronic total energy = -18.3 eV/f.u.
energy of formation = 0.58 kcal/mol of atoms
relative energy among the computed polymorphs = 0.0121 eV per atom

***

DFT (PBE) results for a relaxed structure of ErAlPd.

CIF file:
```
data_ErAlPd
_chemical_formula_sum 'Er3 Al3 Pd3'
_symmetry_space_group_name_H-M 'P -6 2 m'
_symmetry_Int_Tables_number 189
_symmetry_space_group_name_Hall 'P -6 -2'
_cell_length_a 7.2154
_cell_length_b 7.2154
_cell_length_c 3.9330
_cell_angle_alpha 90.00
_cell_angle_beta 90.00
_cell_angle_gamma 120.00
loop_
_atom_site_label
_atom_site_type_symbol
_atom_site_fract_x
_atom_site_fract_y
_atom_site_fract_z
Er1 Er 0.0000 0.5822 0.0000
Al1 Al 0.0000 0.2405 0.5000
Pd1 Pd 0.0000 0.0000 0.0000
Pd2 Pd 0.3333 0.6667 0.5000
```

electronic total energy = -16.2 eV/f.u.
energy of formation = -20.48 kcal/mol of atoms